The following is a DFT calculation (PBE+U) of BaYMn2O5 after structural relaxation.

abc: 3.9766 3.9766 7.7866
angles: 90.00 90.00 89.99
Fractional positions:
Ba (0.0000, 0.5000, 0.0000)
Y (0.0000, 0.5000, 0.5000)
Mn (0.5000, 0.0000, 0.2671)
Mn (0.5000, 0.0000, 0.7330)
O (0.5000, 0.0000, 0.0000)
O (0.0000, 0.0000, 0.3184)
O (0.5000, 0.5000, 0.3184)
O (0.0000, 0.0000, 0.6816)
O (0.5000, 0.5000, 0.6816)

VASP energy: -7.756 eV/atom
corrected total energy (MP2020 scheme): -8.508 eV per atom